First-principles (PBE) data for an optimized crystal structure of NiBi3, as listed in Materials Project.

Computed properties:
E_form in meV per atom: -24
Total energy in eV for the cell shown: -70.19
Calculated volume in Å³/atom: 26.74

Cell: 8.9095 4.1588 11.5469 Å, 90.00 90.00 90.00°
Space group Pnma (No. 62)
Unique sites:
Ni  0.0891  0.2500  0.0190 x4
Bi  0.0895  0.7500  0.1773 x4
Bi  0.1197  0.7500  0.5922 x4
Bi  0.2017  0.7500  0.8906 x4